No. 1
# Li6B4O9 | Materials Project | GGA-PBE | optimized geometry
# Energy of formation ... -50.83 eV per formula unit
# Energy with MP2020 corrections ... -7.03 eV/atom
# E_tot ... -127.348 eV/f.u.
# Calculated volume ... 743.4 Å³ per cell
# Magnetic moment ... 0.00 μB per cell
# Space group ... P2_1/c, No. 14
# Excess energy over the best structure of this formula in the dataset ... 0.000 eV per atom
data_Li6B4O9
_cell_length_a 23.6505
_cell_length_b 3.3938
_cell_length_c 9.7332
_cell_angle_alpha 72.10
_cell_angle_beta 90.00
_cell_angle_gamma 90.00
_symmetry_space_group_name_H-M 'P 1'
_symmetry_Int_Tables_number 1
loop_
_symmetry_equiv_pos_as_xyz
'x,y,z'
loop_
_atom_site_label
_atom_site_type_symbol
_atom_site_fract_x
_atom_site_fract_y
_atom_site_fract_z
B1 B 0.9772 0.5047 0.7377
B2 B 0.9135 0.3781 0.2967
B3 B 0.2433 0.4100 0.4171
B4 B 0.6480 0.6296 0.5648
B5 B 0.1480 0.3704 0.9352
B6 B 0.3520 0.3704 0.4352
B7 B 0.5228 0.5047 0.2377
B8 B 0.0865 0.6219 0.7033
B9 B 0.4772 0.4953 0.7623
B10 B 0.5865 0.3781 0.7967
B11 B 0.7567 0.5900 0.5829
B12 B 0.8520 0.6296 0.0648
B13 B 0.0228 0.4953 0.2623
B14 B 0.2567 0.4100 0.9171
B15 B 0.4135 0.6219 0.2033
B16 B 0.7433 0.5900 0.0829
Li1 Li 0.4425 0.8603 0.9587
Li2 Li 0.7937 0.8807 0.8027
Li3 Li 0.5575 0.1397 0.0413
Li4 Li 0.2063 0.1193 0.1973
Li5 Li 0.6434 0.6577 0.0212
Li6 Li 0.4582 0.2487 0.5104
Li7 Li 0.5418 0.7513 0.4896
Li8 Li 0.7958 0.3170 0.3509
Li9 Li 0.1186 0.6299 0.1788
Li10 Li 0.9425 0.1397 0.5413
Li11 Li 0.2958 0.6830 0.1491
Li12 Li 0.3814 0.6299 0.6788
Li13 Li 0.3566 0.3423 0.9788
Li14 Li 0.1434 0.3423 0.4788
Li15 Li 0.7063 0.8807 0.3027
Li16 Li 0.7042 0.3170 0.8509
Li17 Li 0.6186 0.3701 0.3212
Li18 Li 0.9582 0.7513 0.9896
Li19 Li 0.2937 0.1193 0.6973
Li20 Li 0.0418 0.2487 0.0104
Li21 Li 0.8566 0.6577 0.5212
Li22 Li 0.2042 0.6830 0.6491
Li23 Li 0.0575 0.8603 0.4587
Li24 Li 0.8814 0.3701 0.8212
O1 O 0.5984 0.5524 0.6504
O2 O 0.5682 0.5452 0.1458
O3 O 0.0682 0.4548 0.3542
O4 O 0.8599 0.7872 0.9220
O5 O 0.6994 0.5315 0.6377
O6 O 0.8006 0.5315 0.1377
O7 O 0.0289 0.6706 0.6638
O8 O 0.3006 0.4685 0.3623
O9 O 0.7317 0.7410 0.9395
O10 O 0.1994 0.4685 0.8623
O11 O 0.9016 0.5524 0.1504
O12 O 0.5289 0.3294 0.8362
O13 O 0.9738 0.3413 0.8827
O14 O 0.1401 0.2128 0.0780
O15 O 0.0262 0.6587 0.1173
O16 O 0.9318 0.5452 0.6458
O17 O 0.9711 0.3294 0.3362
O18 O 0.4738 0.6587 0.6173
O19 O 0.4318 0.4548 0.8542
O20 O 0.3759 0.7427 0.0948
O21 O 0.2976 0.5194 0.8122
O22 O 0.2024 0.5194 0.3122
O23 O 0.6241 0.2573 0.9052
O24 O 0.7024 0.4806 0.1878
O25 O 0.6401 0.7872 0.4220
O26 O 0.4711 0.6706 0.1638
O27 O 0.5262 0.3413 0.3827
O28 O 0.1241 0.7427 0.5948
O29 O 0.7683 0.7410 0.4395
O30 O 0.7976 0.4806 0.6878
O31 O 0.8759 0.2573 0.4052
O32 O 0.0984 0.4476 0.8496
O33 O 0.2683 0.2590 0.0605
O34 O 0.3599 0.2128 0.5780
O35 O 0.4016 0.4476 0.3496
O36 O 0.2317 0.2590 0.5605



No. 2
# Li20B54O | Materials Project | GGA-PBE | optimized geometry
# Energy of formation ... -19.90 eV per formula unit
# Energy with MP2020 corrections ... -5.65 eV/atom
# E_tot ... -423.025 eV/f.u.
# Calculated volume ... 730.1 Å³ per cell
# Magnetic moment ... 0.22 μB per cell
# Space group ... P1, No. 1
data_Li20B54O
_cell_length_a 8.1963
_cell_length_b 8.2111
_cell_length_c 12.5158
_cell_angle_alpha 89.86
_cell_angle_beta 89.81
_cell_angle_gamma 60.09
_symmetry_space_group_name_H-M 'P 1'
_symmetry_Int_Tables_number 1
loop_
_symmetry_equiv_pos_as_xyz
'x,y,z'
loop_
_atom_site_label
_atom_site_type_symbol
_atom_site_fract_x
_atom_site_fract_y
_atom_site_fract_z
B1 B 0.6762 0.8770 0.5004
B2 B 0.1265 0.3287 0.4972
B3 B 0.1185 0.3320 0.8345
B4 B 0.5553 0.1202 0.4998
B5 B 0.5081 0.9996 0.4005
B6 B 0.3244 0.1253 0.8353
B7 B 0.5129 0.4840 0.2655
B8 B 0.4457 0.8822 0.8348
B9 B 0.3276 0.5513 0.8341
B10 B 0.9996 0.5006 0.5978
B11 B 0.6660 0.4601 0.8365
B12 B 0.8792 0.4530 0.5004
B13 B 0.8833 0.4432 0.1652
B14 B 0.9961 0.5033 0.7359
B15 B 0.4960 0.0028 0.9330
B16 B 0.5012 0.9959 0.0684
B17 B 0.6682 0.8816 0.8349
B18 B 0.5449 0.1260 0.8351
B19 B 0.4450 0.6771 0.8356
B20 B 0.1294 0.5379 0.1719
B21 B 0.1192 0.5517 0.8341
B22 B 0.1250 0.5480 0.4971
B23 B 0.4976 0.5000 0.9333
B24 B 0.5589 0.3181 0.1650
B25 B 0.3384 0.5346 0.1709
B26 B 0.5585 0.1127 0.1645
B27 B 0.6781 0.4428 0.1647
B28 B 0.4996 0.0017 0.5974
B29 B 0.6787 0.8688 0.1643
B30 B 0.4598 0.6610 0.1693
B31 B 0.5108 0.9945 0.2651
B32 B 0.5027 0.5027 0.5976
B33 B 0.9984 0.4980 0.4012
B34 B 0.3337 0.1222 0.4967
B35 B 0.5109 0.4891 0.4012
B36 B 0.1286 0.3200 0.1697
B37 B 0.5546 0.3265 0.5010
B38 B 0.5007 0.5042 0.7358
B39 B 0.4568 0.6697 0.4964
B40 B 0.6750 0.4514 0.4998
B41 B 0.3345 0.5461 0.4976
B42 B 0.5458 0.3330 0.8344
B43 B 0.0103 0.4903 0.0696
B44 B 0.3364 0.1151 0.1688
B45 B 0.4578 0.8752 0.4977
B46 B 0.0025 0.4981 0.9335
B47 B 0.8722 0.4601 0.8369
B48 B 0.4959 0.0054 0.7364
B49 B 0.4590 0.8687 0.1688
B50 B 0.9990 0.4936 0.2656
B51 B 0.8809 0.6717 0.4993
B52 B 0.8836 0.6621 0.1647
B53 B 0.5011 0.4941 0.0694
B54 B 0.8755 0.6773 0.8360
Li1 Li 0.3153 0.3384 0.3295
Li2 Li 0.8131 0.3747 0.6697
Li3 Li 0.2128 0.1941 0.6665
Li4 Li 0.9432 0.9556 0.4772
Li5 Li 0.6400 0.6751 0.3315
Li6 Li 0.6777 0.1555 0.3331
Li7 Li 0.5896 0.1965 0.6687
Li8 Li 0.6679 0.6642 0.9974
Li9 Li 0.8787 0.3005 0.3346
Li10 Li 0.2213 0.7268 0.3245
Li11 Li 0.8785 0.8046 0.3220
Li12 Li 0.6894 0.1566 0.9911
Li13 Li 0.6449 0.7100 0.6758
Li14 Li 0.1647 0.6694 0.0206
Li15 Li 0.3357 0.3240 0.9878
Li16 Li 0.2185 0.0420 0.3301
Li17 Li 0.9270 0.0241 0.1813
Li18 Li 0.0780 0.8585 0.8390
Li19 Li 0.1513 0.1526 0.0025
Li20 Li 0.2346 0.5325 0.6653
O1 O 0.9790 0.9967 0.3311



No. 3
# Li6B4O9 | Materials Project | GGA-PBE | optimized geometry
# Energy of formation ... -49.63 eV per formula unit
# Energy with MP2020 corrections ... -6.96 eV/atom
# E_tot ... -126.151 eV/f.u.
# Calculated volume ... 396.1 Å³ per cell
# Magnetic moment ... 0.00 μB per cell
# Space group ... P-1, No. 2
# Excess energy over the best structure of this formula in the dataset ... 0.063 eV per atom
data_Li6B4O9
_cell_length_a 6.7288
_cell_length_b 7.1635
_cell_length_c 8.5032
_cell_angle_alpha 93.47
_cell_angle_beta 100.98
_cell_angle_gamma 98.61
_symmetry_space_group_name_H-M 'P 1'
_symmetry_Int_Tables_number 1
loop_
_symmetry_equiv_pos_as_xyz
'x,y,z'
loop_
_atom_site_label
_atom_site_type_symbol
_atom_site_fract_x
_atom_site_fract_y
_atom_site_fract_z
Li1 Li 0.6033 0.7084 0.2310
Li2 Li 0.0644 0.0434 0.8730
Li3 Li 0.9079 0.3355 0.7891
Li4 Li 0.2536 0.6802 0.9476
Li5 Li 0.3744 0.4592 0.3570
Li6 Li 0.9356 0.9566 0.1270
Li7 Li 0.3967 0.2916 0.7690
Li8 Li 0.6256 0.5408 0.6430
Li9 Li 0.9386 0.8032 0.4793
Li10 Li 0.0614 0.1968 0.5207
Li11 Li 0.7464 0.3198 0.0524
Li12 Li 0.0921 0.6645 0.2109
O1 O 0.7323 0.2949 0.2796
O2 O 0.1253 0.9890 0.6574
O3 O 0.8747 0.0110 0.3426
O4 O 0.3045 0.2272 0.1850
O5 O 0.1491 0.6503 0.4324
O6 O 0.3173 0.4183 0.5760
O7 O 0.1932 0.9114 0.0548
O8 O 0.3073 0.5461 0.1346
O9 O 0.8509 0.3497 0.5676
O10 O 0.2677 0.7051 0.7204
O11 O 0.8085 0.6907 0.0909
O12 O 0.4819 0.0152 0.7644
O13 O 0.1915 0.3093 0.9091
O14 O 0.6927 0.4539 0.8654
O15 O 0.6955 0.7728 0.8150
O16 O 0.6827 0.5817 0.4240
O17 O 0.5181 0.9848 0.2356
O18 O 0.8068 0.0886 0.9452
B1 B 0.2348 0.5831 0.5698
B2 B 0.3352 0.0392 0.1550
B3 B 0.7142 0.0971 0.2947
B4 B 0.6648 0.9608 0.8450
B5 B 0.2644 0.3620 0.0683
B6 B 0.7356 0.6380 0.9317
B7 B 0.2858 0.9029 0.7053
B8 B 0.7652 0.4169 0.4302